Entry 1:
! GaHCl2 | the Materials Project | meta-GGA r2SCAN | optimized geometry; values from VASP
! crystal system: monoclinic
&SYSTEM
  ibrav = 0, nat = 16, ntyp = 3
/
ATOMIC_SPECIES
Ga 69.72 Ga.upf
H 1.01 H.upf
Cl 35.45 Cl.upf
ATOMIC_POSITIONS angstrom
Ga 1.2118 1.5867 0.7719
Ga 1.0434 -1.5867 5.7849
Ga 4.9710 1.5867 4.2412
Ga 4.8026 -1.5867 9.2542
H 2.2762 0.6761 1.3570
H 2.1079 -0.6761 6.3700
H 3.9065 0.6761 3.6560
H 3.7382 -0.6761 8.6691
Cl 0.7672 1.3355 4.1636
Cl 1.3354 2.1921 8.5992
Cl 0.5989 -1.3355 9.1766
Cl 1.5038 -2.1921 3.5861
Cl 4.5106 2.1921 6.4399
Cl 5.4155 1.3355 0.8495
Cl 4.6790 -2.1921 1.4269
Cl 5.2471 -1.3355 5.8625
CELL_PARAMETERS angstrom
3.1756 -6.0060 0.0000
3.1756 6.0060 0.0000
-0.3368 0.0000 10.0261


Entry 2:
! InGa2Cl7 | the Materials Project | meta-GGA r2SCAN | optimized geometry; values from VASP
! crystal system: orthorhombic
&SYSTEM
  ibrav = 0, nat = 40, ntyp = 3
/
ATOMIC_SPECIES
In 114.82 In.upf
Ga 69.72 Ga.upf
Cl 35.45 Cl.upf
ATOMIC_POSITIONS angstrom
In 1.3068 1.2097 0.0000
In 4.7138 5.7227 5.3365
In 7.3274 3.3034 0.0000
In 10.7345 7.8164 5.3365
Ga 1.4001 5.5862 9.2496
Ga 2.1308 0.5946 6.6776
Ga 3.8898 5.1076 1.3411
Ga 4.6205 1.0731 3.9131
Ga 7.4208 7.9529 9.2496
Ga 8.1514 3.9184 6.6776
Ga 9.9104 8.4315 1.3411
Ga 10.6411 3.4399 3.9131
Cl 0.1463 7.2433 8.6612
Cl 0.2397 1.4625 7.2529
Cl 0.3789 4.1867 10.5519
Cl 1.9317 7.8411 5.4422
Cl 2.5201 4.6613 7.6664
Cl 2.5281 4.8995 2.9957
Cl 2.9543 6.6647 10.5946
Cl 3.0664 2.1517 5.2581
Cl 3.4926 0.3864 8.3322
Cl 3.5005 0.1483 2.3298
Cl 4.0889 3.3281 0.1057
Cl 5.6417 8.6997 5.2154
Cl 5.7809 5.9755 1.9163
Cl 5.8743 2.7302 3.3246
Cl 6.1669 6.2958 8.6612
Cl 6.2603 3.0505 7.2529
Cl 6.3995 0.3263 10.5519
Cl 7.9523 5.6980 5.4422
Cl 8.5408 8.8778 7.6664
Cl 8.5487 8.6396 2.9957
Cl 8.9749 6.8744 10.5946
Cl 9.0870 2.3614 5.2581
Cl 9.5132 4.1266 8.3322
Cl 9.5211 4.3648 2.3298
Cl 10.1095 1.1849 0.1057
Cl 11.6624 4.8393 5.2154
Cl 11.8016 7.5636 1.9163
Cl 11.8949 1.7828 3.3246
CELL_PARAMETERS angstrom
12.0412 0.0000 0.0000
0.0000 9.0261 0.0000
0.0000 0.0000 10.6731


Entry 3:
! KGaCl4 | the Materials Project | meta-GGA r2SCAN | optimized geometry; values from VASP
! crystal system: monoclinic
&SYSTEM
  ibrav = 0, nat = 24, ntyp = 3
/
ATOMIC_SPECIES
K 39.10 K.upf
Ga 69.72 Ga.upf
Cl 35.45 Cl.upf
ATOMIC_POSITIONS angstrom
K -1.2042 2.0606 1.9169
K -4.5666 3.0871 6.5987
K 5.1355 7.2084 2.7649
K 1.7732 8.2349 7.4466
Ga -1.4636 0.4944 6.4074
Ga 1.8988 4.6533 1.7257
Ga -1.3299 5.6422 7.6378
Ga 2.0325 9.8011 2.9561
Cl -3.0168 5.9749 6.2855
Cl 0.3456 9.4684 1.6037
Cl -1.7842 2.2398 5.1293
Cl 1.5782 2.9080 0.4476
Cl -3.3212 0.2643 7.5530
Cl 0.0412 4.8835 2.8713
Cl 2.3512 6.4566 0.5886
Cl -1.0112 8.9866 5.2704
Cl 1.5801 1.3089 4.0932
Cl -1.7823 3.8389 8.7749
Cl 0.5278 5.4120 6.4922
Cl 3.8901 10.0312 1.8105
Cl -1.0092 7.3876 8.9160
Cl 2.3531 8.0557 4.2342
Cl 0.2233 0.8271 7.7598
Cl 3.5857 4.3206 3.0780
CELL_PARAMETERS angstrom
7.2937 0.0000 0.0000
0.0000 10.2955 0.0000
-6.7248 0.0000 9.3635


Entry 4:
! KGa2Cl7 | the Materials Project | meta-GGA r2SCAN | optimized geometry; values from VASP
! crystal system: orthorhombic
&SYSTEM
  ibrav = 0, nat = 40, ntyp = 3
/
ATOMIC_SPECIES
K 39.10 K.upf
Ga 69.72 Ga.upf
Cl 35.45 Cl.upf
ATOMIC_POSITIONS angstrom
K 1.3307 1.2043 0.0000
K 4.6497 5.7582 5.2853
K 7.3111 3.3497 0.0000
K 10.6300 7.9037 5.2853
Ga 1.3602 5.6241 9.0370
Ga 2.0990 0.5833 6.4777
Ga 3.8813 5.1373 1.1924
Ga 4.6202 1.0702 3.7516
Ga 7.3405 8.0378 9.0370
Ga 8.0794 3.9707 6.4777
Ga 9.8617 8.5246 1.1924
Ga 10.6006 3.4838 3.7516
Cl 0.1127 7.2841 8.4374
Cl 0.1749 1.4166 6.9992
Cl 0.3622 4.2345 10.3463
Cl 1.9292 7.8989 5.2643
Cl 2.4766 4.6815 7.4544
Cl 2.5702 4.9643 2.8906
Cl 2.9390 6.7034 10.3587
Cl 3.0413 2.1494 5.0734
Cl 3.4102 0.4103 8.1759
Cl 3.5038 0.1275 2.1691
Cl 4.0512 3.3450 10.5497
Cl 5.6182 8.7884 5.0609
Cl 5.8055 5.9706 1.7138
Cl 5.8677 2.7301 3.1521
Cl 6.0930 6.3778 8.4374
Cl 6.1553 3.1373 6.9992
Cl 6.3426 0.3195 10.3463
Cl 7.9096 5.7630 5.2643
Cl 8.4569 8.9804 7.4544
Cl 8.5506 8.6976 2.8906
Cl 8.9194 6.9585 10.3587
Cl 9.0217 2.4045 5.0734
Cl 9.3905 4.1437 8.1759
Cl 9.4842 4.4265 2.1691
Cl 10.0316 1.2090 10.5497
Cl 11.5986 4.8735 5.0609
Cl 11.7859 7.6913 1.7138
Cl 11.8481 1.8238 3.1521
CELL_PARAMETERS angstrom
11.9608 0.0000 0.0000
0.0000 9.1079 0.0000
0.0000 0.0000 10.5706


Entry 5:
! La3Ga4Cl | the Materials Project | meta-GGA r2SCAN | optimized geometry; values from VASP
! crystal system: tetragonal
&SYSTEM
  ibrav = 0, nat = 16, ntyp = 3
/
ATOMIC_SPECIES
La 138.91 La.upf
Ga 69.72 Ga.upf
Cl 35.45 Cl.upf
ATOMIC_POSITIONS angstrom
La 5.4114 1.3155 0.0000
La 0.0000 0.0000 2.8526
La 1.3155 2.7804 0.0000
La 2.7804 1.3155 5.7052
La 0.0000 0.0000 8.5578
La -1.3155 2.7804 5.7052
Ga 5.2633 -1.1674 2.2802
Ga 2.9286 -1.1674 3.4250
Ga 2.9286 1.1674 2.2802
Ga 5.2633 1.1674 3.4250
Ga -1.1674 2.9286 2.2802
Ga 1.1674 2.9286 3.4250
Ga 1.1674 5.2633 2.2802
Ga -1.1674 5.2633 3.4250
Cl 0.0000 0.0000 0.0000
Cl 0.0000 0.0000 5.7052
CELL_PARAMETERS angstrom
-4.0959 4.0959 5.7052
4.0959 -4.0959 5.7052
4.0959 4.0959 -5.7052


Entry 6:
! LiGaCl4 | the Materials Project | meta-GGA r2SCAN | optimized geometry; values from VASP
! crystal system: monoclinic
&SYSTEM
  ibrav = 0, nat = 24, ntyp = 3
/
ATOMIC_SPECIES
Li 6.94 Li.upf
Ga 69.72 Ga.upf
Cl 35.45 Cl.upf
ATOMIC_POSITIONS angstrom
Li 0.8091 0.1359 4.7203
Li 0.4883 3.1402 11.1413
Li 5.8720 3.4121 1.7007
Li 5.5512 6.4164 8.1217
Ga 1.7049 1.1358 7.7308
Ga 2.0257 2.1404 1.3098
Ga 4.3347 4.4119 11.5321
Ga 4.6555 5.4165 5.1112
Cl 0.3658 1.2234 2.4433
Cl 0.0450 2.0528 8.8643
Cl 1.2557 4.1609 0.8655
Cl 0.9349 5.6675 7.2865
Cl 1.5683 1.1962 12.2009
Cl 1.8891 2.0799 5.7799
Cl 2.5014 4.4269 10.3782
Cl 2.8222 5.4015 3.9572
Cl 3.5381 1.1508 8.8847
Cl 3.8589 2.1254 2.4637
Cl 4.4712 4.4724 7.0621
Cl 4.7920 5.3561 0.6411
Cl 5.4255 0.8848 5.5554
Cl 5.1047 2.3914 11.9764
Cl 6.3153 4.4995 3.9777
Cl 5.9945 5.3289 10.3986
CELL_PARAMETERS angstrom
7.0020 0.0000 0.0000
0.0000 6.5523 0.0000
-0.6416 0.0000 12.8420


Entry 7:
! NaGaCl4 | the Materials Project | meta-GGA r2SCAN | optimized geometry; values from VASP
! crystal system: orthorhombic
&SYSTEM
  ibrav = 0, nat = 24, ntyp = 3
/
ATOMIC_SPECIES
Na 22.99 Na.upf
Ga 69.72 Ga.upf
Cl 35.45 Cl.upf
ATOMIC_POSITIONS angstrom
Na 0.3866 0.3601 3.8171
Na 2.7015 9.4431 8.9481
Na 3.4747 4.5415 6.4450
Na 5.7896 5.2618 1.3139
Ga 0.2289 7.2145 7.3141
Ga 2.8592 2.5887 2.1830
Ga 3.3170 7.4904 2.9480
Ga 5.9473 2.3129 8.0790
Cl 0.8623 5.4828 6.1481
Cl 1.0779 7.1450 9.3309
Cl 1.0890 9.0334 6.4254
Cl 1.1309 7.4437 2.9095
Cl 1.9572 2.3596 8.0405
Cl 1.9991 0.7699 1.2944
Cl 2.0102 2.6583 4.1998
Cl 2.2258 4.3205 1.0170
Cl 3.9505 9.2221 4.1140
Cl 4.1661 7.5599 0.9312
Cl 4.1771 5.6715 3.8367
Cl 4.2190 7.2612 7.3525
Cl 5.0453 2.5421 2.2215
Cl 5.0872 4.1317 8.9677
Cl 5.0983 2.2433 6.0622
Cl 5.3139 0.5812 9.2450
CELL_PARAMETERS angstrom
6.1762 0.0000 0.0000
0.0000 9.8033 0.0000
0.0000 0.0000 10.2620


Entry 8:
! Nb3Ga2Cl9 | the Materials Project | meta-GGA r2SCAN | optimized geometry; values from VASP
! crystal system: monoclinic
&SYSTEM
  ibrav = 0, nat = 28, ntyp = 3
/
ATOMIC_SPECIES
Nb 92.91 Nb.upf
Ga 69.72 Ga.upf
Cl 35.45 Cl.upf
ATOMIC_POSITIONS angstrom
Nb -1.4516 1.4529 5.4979
Nb -0.4525 0.0000 3.1558
Nb -1.4516 -1.4529 5.4979
Nb 8.2578 1.4529 3.0152
Nb 7.2586 0.0000 5.3573
Nb 8.2578 -1.4529 3.0152
Ga 3.5526 2.2421 1.3290
Ga 3.2535 2.2421 7.1840
Ga 3.5526 -2.2421 1.3290
Ga 3.2535 -2.2421 7.1840
Cl -0.4808 3.3295 7.1170
Cl 4.5571 5.6808 1.4895
Cl 2.2491 5.6808 7.0236
Cl 0.7553 1.7350 4.4282
Cl 3.4031 3.9474 4.2565
Cl 1.8080 0.0000 1.7908
Cl -0.3472 0.0000 7.1894
Cl 0.7553 -1.7350 4.4282
Cl 7.2870 3.3295 1.3961
Cl -0.4808 -3.3295 7.1170
Cl 6.0509 1.7350 4.0849
Cl 7.1534 0.0000 1.3236
Cl 4.9982 0.0000 6.7223
Cl 3.4031 -3.9474 4.2565
Cl 6.0509 -1.7350 4.0849
Cl 4.5571 -5.6808 1.4895
Cl 2.2491 -5.6808 7.0236
Cl 7.2870 -3.3295 1.3961
CELL_PARAMETERS angstrom
5.6263 -7.4025 0.0000
5.6263 7.4025 0.0000
-4.4464 0.0000 8.5131


Entry 9:
! Ga2NiCl8 | the Materials Project | meta-GGA r2SCAN | optimized geometry; values from VASP
! crystal system: monoclinic
&SYSTEM
  ibrav = 0, nat = 22, ntyp = 3
/
ATOMIC_SPECIES
Ga 69.72 Ga.upf
Ni 58.69 Ni.upf
Cl 35.45 Cl.upf
ATOMIC_POSITIONS angstrom
Ga -0.2343 2.0117 8.5192
Ga 5.9013 2.0117 4.7008
Ga 3.5488 -2.0117 4.1125
Ga 9.6845 -2.0117 0.2942
Ni 6.6167 3.9121 2.2033
Ni 2.8335 -3.9121 6.6100
Cl 2.4513 0.0998 0.1299
Cl 1.2040 2.1426 6.8507
Cl 4.9598 2.2293 2.7004
Cl -1.3318 -0.0998 4.5366
Cl 8.2735 2.2293 1.7063
Cl 4.4630 2.1426 6.3694
Cl -1.3254 0.1957 8.3194
Cl 2.4578 -0.1957 3.9128
Cl 6.9924 0.1957 4.9006
Cl 10.7756 -0.1957 0.4939
Cl 4.9872 -2.1426 2.4440
Cl 1.1767 -2.2293 7.1071
Cl 10.7820 0.0998 4.2767
Cl 4.4904 -2.2293 6.1129
Cl 8.2461 -2.1426 1.9627
Cl 6.9988 -0.0998 8.6834
CELL_PARAMETERS angstrom
8.5082 -3.9274 0.0000
8.5082 3.9274 0.0000
-7.5663 0.0000 8.8134


Entry 10:
! GaSbCl6 | the Materials Project | meta-GGA r2SCAN | optimized geometry; values from VASP
! crystal system: monoclinic
&SYSTEM
  ibrav = 0, nat = 32, ntyp = 3
/
ATOMIC_SPECIES
Ga 69.72 Ga.upf
Sb 121.76 Sb.upf
Cl 35.45 Cl.upf
ATOMIC_POSITIONS angstrom
Ga 1.3987 1.8515 0.9839
Ga 0.0645 2.0316 7.2995
Ga 7.4995 5.7346 5.3316
Ga 6.1653 5.9147 11.6472
Sb 2.1974 5.7129 1.5464
Sb 0.8632 5.9364 7.8620
Sb 6.7007 1.8298 4.7691
Sb 5.3665 2.0533 11.0847
Cl -0.9744 4.6466 4.7352
Cl -2.3085 7.0027 11.0507
Cl 0.0323 0.8731 5.4838
Cl -1.3019 3.0100 11.7993
Cl 0.5351 0.6353 8.9877
Cl 1.8693 3.2478 2.6722
Cl 1.1191 5.2679 10.0870
Cl 2.4533 6.3814 3.7715
Cl 3.1217 0.4441 0.8304
Cl 1.7875 3.4390 7.1459
Cl 4.4123 5.1020 1.1278
Cl 3.0781 6.5473 7.4433
Cl 4.4859 1.2189 5.1878
Cl 3.1517 2.6642 11.5033
Cl 5.7765 4.3272 5.4852
Cl 4.4423 7.3221 11.8007
Cl 5.1107 1.3848 8.8596
Cl 6.4448 2.4983 2.5440
Cl 5.6947 4.5184 9.9589
Cl 7.0289 7.1309 3.6434
Cl 8.8658 4.7562 0.8318
Cl 7.5316 6.8931 7.1473
Cl 9.8725 0.7635 1.5803
Cl 8.5383 3.1196 7.8959
CELL_PARAMETERS angstrom
10.2323 0.0000 0.0000
0.0000 7.7662 0.0000
-2.6684 0.0000 12.6311


Entry 11:
! Ga2Te2Cl7 | the Materials Project | meta-GGA r2SCAN | optimized geometry; values from VASP
! crystal system: monoclinic
&SYSTEM
  ibrav = 0, nat = 44, ntyp = 3
/
ATOMIC_SPECIES
Ga 69.72 Ga.upf
Te 127.60 Te.upf
Cl 35.45 Cl.upf
ATOMIC_POSITIONS angstrom
Ga 1.0491 2.0358 2.6967
Ga 0.8177 3.5927 9.3199
Ga 2.2626 6.5207 4.5181
Ga 2.0312 10.3650 11.1413
Ga 6.8304 0.8921 2.1052
Ga 6.5990 4.7364 8.7285
Ga 8.0439 7.6644 3.9266
Ga 7.8125 9.2213 10.5499
Te 2.5608 6.3537 12.5889
Te 2.7922 10.5319 5.9657
Te 3.8404 1.7550 6.1660
Te 3.6090 3.8736 12.7893
Te 5.2526 7.3835 0.4572
Te 5.0212 9.5022 7.0805
Te 6.0694 0.7252 7.2809
Te 6.3008 4.9034 0.6576
Cl 0.0391 5.9207 4.7143
Cl -0.1923 10.9650 11.3376
Cl 0.1133 1.8210 8.3329
Cl 0.3447 3.8076 1.7097
Cl 0.8051 1.9413 4.8623
Cl 0.5737 3.6873 11.4856
Cl 2.4063 8.1137 3.0803
Cl 2.1749 8.7720 9.7035
Cl 2.7246 7.2280 6.5313
Cl 2.4932 9.6577 13.1546
Cl 3.0190 1.3968 2.1120
Cl 2.7876 4.2317 8.7352
Cl 3.0454 0.9190 10.5856
Cl 3.2767 4.7096 3.9623
Cl 5.5849 6.5476 9.2842
Cl 5.8162 10.3381 2.6610
Cl 6.0740 7.0254 4.5113
Cl 5.8426 9.8603 11.1346
Cl 6.3684 1.5995 0.0920
Cl 6.1370 4.0291 6.7152
Cl 6.6867 2.4851 3.5430
Cl 6.4553 3.1435 10.1663
Cl 8.2879 7.5698 1.7609
Cl 8.0565 9.3158 8.3842
Cl 8.5169 7.4495 11.5369
Cl 8.7483 9.4362 4.9136
Cl 9.0539 0.2922 1.9089
Cl 8.8225 5.3364 8.5322
CELL_PARAMETERS angstrom
9.3244 0.0000 0.0000
0.0000 11.2571 0.0000
-0.4628 0.0000 13.2465


Entry 12:
! GdIn2Cl5 | the Materials Project | meta-GGA r2SCAN | optimized geometry; values from VASP
! crystal system: orthorhombic
&SYSTEM
  ibrav = 0, nat = 32, ntyp = 3
/
ATOMIC_SPECIES
Gd 157.25 Gd.upf
In 114.82 In.upf
Cl 35.45 Cl.upf
ATOMIC_POSITIONS angstrom
Gd 0.0564 2.1561 0.6016
Gd 6.3581 6.4683 4.6613
Gd 6.4710 2.1561 3.4581
Gd 12.7727 6.4683 7.5178
In 2.2041 0.0427 4.4749
In 2.2041 4.2695 4.4749
In 4.2104 4.3549 0.4152
In 4.2104 8.5817 0.4152
In 8.6187 0.0427 7.7042
In 8.6187 4.2695 7.7042
In 10.6250 4.3549 3.6445
In 10.6250 8.5817 3.6445
Cl 0.1097 2.1561 3.3518
Cl 0.9110 4.7025 1.3374
Cl 0.9110 8.2340 1.3374
Cl 2.3299 2.1561 7.2667
Cl 2.5786 6.4683 6.8492
Cl 3.8360 2.1561 2.7895
Cl 4.0847 6.4683 3.2070
Cl 5.5036 0.3903 5.3971
Cl 5.5036 3.9218 5.3971
Cl 6.3048 6.4683 7.4115
Cl 6.5243 2.1561 0.7079
Cl 7.3255 4.7025 2.7223
Cl 7.3255 8.2340 2.7223
Cl 8.7445 2.1561 4.9124
Cl 8.9932 6.4683 5.3298
Cl 10.2505 2.1561 1.2701
Cl 10.4992 6.4683 0.8527
Cl 11.9182 0.3903 6.7819
Cl 11.9182 3.9218 6.7819
Cl 12.7194 6.4683 4.7675
CELL_PARAMETERS angstrom
12.8291 0.0000 0.0000
0.0000 8.6244 0.0000
0.0000 0.0000 8.1194


Values for energy, eV per atom, ordered as above
-7.62; -10.06; -8.66; -8.68; -18.79; -7.94; -8.16; -12.11; -8.81; -10.35; -11.62; -16.64
Values for total magnetic moment, μB per formula unit, ordered as above
0.0; 0.0; 0.0; 0.0; 0.0; 0.0; 0.0; 0.0; 2.0; 0.0; 0.0; 7.0